An optimized crystal structure of DyF3, computed with PBE.

Results
calculated formation energy = -4.47 eV/atom
E = -6.71 eV per atom

Lattice parameters (Å, degrees): 6.2351 6.9056 4.7859 90.00 90.00 90.00
Last column: nearest neighbours and their distance in Å.
Element x y z (fractional)
1 Dy 0.1343 0.2500 0.0398  8 F 2.20-2.36
2 Dy 0.3657 0.7500 0.5398  8 F 2.20-2.36
3 Dy 0.6343 0.2500 0.4602  8 F 2.20-2.36
4 Dy 0.8657 0.7500 0.9602  8 F 2.20-2.36
5 F 0.0383 0.7500 0.3670  2 Dy 2.20-2.22
6 F 0.1610 0.5632 0.8480  3 Dy 2.31-2.36, 1 F 2.58
7 F 0.1610 0.9368 0.8480  3 Dy 2.31-2.36, 1 F 2.58
8 F 0.3390 0.0632 0.3480  3 Dy 2.31-2.36, 1 F 2.58
9 F 0.3390 0.4368 0.3480  3 Dy 2.31-2.36, 1 F 2.58
10 F 0.4617 0.2500 0.8670  2 Dy 2.20-2.22
11 F 0.5383 0.7500 0.1330  2 Dy 2.20-2.22
12 F 0.6610 0.5632 0.6520  3 Dy 2.31-2.36, 1 F 2.58
13 F 0.6610 0.9368 0.6520  3 Dy 2.31-2.36, 1 F 2.58
14 F 0.8390 0.0632 0.1520  3 Dy 2.31-2.36, 1 F 2.58
15 F 0.8390 0.4368 0.1520  3 Dy 2.31-2.36, 1 F 2.58
16 F 0.9617 0.2500 0.6330  2 Dy 2.20-2.22